This record from Materials Project describes crystalline MgSc3 at its relaxed geometry. The functional is r²SCAN.

Results
Formation enthalpy at 0 K (meV/atom): 47
Magnetization (μB/cell): 0.728
Calculated total energy (eV for the cell shown): -38.18

The structure in POSCAR format:
```
MgSc3
1.0
-1.6313 2.8132 5.3003
1.6313 -2.8132 5.3003
1.6313 2.8132 -5.3003
Sc Mg
3 1
direct
0.7608 0.7560 0.0049 Sc
0.6552 0.0000 0.6552 Sc
0.2489 0.2440 0.0049 Sc
0.1684 0.5000 0.6684 Mg
```

---

This record from Materials Project describes crystalline Mg5Sc at its relaxed geometry. The functional is r²SCAN.

Results
Formation enthalpy at 0 K (meV/atom): 15
Magnetization (μB/cell): 0.000
Calculated total energy (eV for the cell shown): -32.15

The structure in POSCAR format:
```
Mg5Sc
1.0
-7.5552 3.3973 -0.3392
6.3213 -4.2631 3.2566
1.8602 4.3442 2.0761
Sc Mg
1 5
direct
0.7840 0.2160 0.5000 Sc
0.6651 0.3349 0.0000 Mg
0.1136 0.8864 0.5000 Mg
0.9945 0.0055 0.0000 Mg
0.3288 0.6712 0.0000 Mg
0.4474 0.5526 0.5000 Mg
```